1.
{"formula": "Rb2SiS6O21", "functional": "PBE", "state": "relaxed", "cell": [[9.7771, 0.0000, 0.0000], [-4.8886, 8.4672, 0.0000], [0.0000, 0.0000, 11.5137]], "species": ["Rb", "Rb", "Rb", "Rb", "Si", "Si", "S", "S", "S", "S", "S", "S", "S", "S", "S", "S", "S", "S", "O", "O", "O", "O", "O", "O", "O", "O", "O", "O", "O", "O", "O", "O", "O", "O", "O", "O", "O", "O", "O", "O", "O", "O", "O", "O", "O", "O", "O", "O", "O", "O", "O", "O", "O", "O", "O", "O", "O", "O", "O", "O"], "fractional_positions": [[0.3333, 0.6667, 0.0650], [0.3333, 0.6667, 0.6211], [0.6667, 0.3333, 0.3789], [0.6667, 0.3333, 0.9350], [0.0000, 0.0000, 0.2620], [0.0000, 0.0000, 0.7380], [0.0872, 0.3296, 0.8379], [0.1399, 0.7999, 0.3486], [0.2001, 0.3399, 0.3486], [0.2424, 0.9128, 0.8379], [0.3296, 0.2424, 0.1621], [0.3399, 0.1399, 0.6514], [0.6601, 0.8601, 0.3486], [0.6704, 0.7576, 0.8379], [0.7576, 0.0872, 0.1621], [0.7999, 0.6601, 0.6514], [0.8601, 0.2001, 0.6514], [0.9128, 0.6704, 0.1621], [0.0149, 0.6652, 0.0751], [0.0238, 0.3479, 0.7076], [0.0694, 0.1675, 0.3561], [0.0715, 0.1673, 0.8323], [0.0958, 0.9285, 0.8323], [0.0981, 0.9306, 0.3561], [0.1433, 0.7438, 0.4627], [0.1619, 0.4290, 0.2694], [0.1673, 0.0958, 0.1677], [0.1675, 0.0981, 0.6439], [0.2034, 0.7507, 0.8349], [0.2493, 0.4527, 0.8349], [0.2562, 0.3995, 0.4627], [0.2671, 0.8381, 0.2694], [0.3240, 0.9762, 0.7076], [0.3348, 0.3496, 0.0751], [0.3479, 0.3240, 0.2924], [0.3496, 0.0149, 0.9249], [0.3995, 0.1433, 0.5373], [0.4290, 0.2671, 0.7306], [0.4527, 0.2034, 0.1651], [0.5473, 0.7966, 0.8349], [0.5710, 0.7329, 0.2694], [0.6005, 0.8567, 0.4627], [0.6504, 0.9851, 0.0751], [0.6521, 0.6760, 0.7076], [0.6652, 0.6504, 0.9249], [0.6760, 0.0238, 0.2924], [0.7329, 0.1619, 0.7306], [0.7438, 0.6005, 0.5373], [0.7507, 0.5473, 0.1651], [0.7966, 0.2493, 0.1651], [0.8325, 0.9019, 0.3561], [0.8327, 0.9042, 0.8323], [0.8381, 0.5710, 0.7306], [0.8567, 0.2562, 0.5373], [0.9019, 0.0694, 0.6439], [0.9042, 0.0715, 0.1677], [0.9285, 0.8327, 0.1677], [0.9306, 0.8325, 0.6439], [0.9762, 0.6521, 0.2924], [0.9851, 0.3348, 0.9249]], "energy_corrected_mp2020_ry_per_atom": -0.479, "energy_ev_per_atom": -6.0379}

2.
{"formula": "RbSmS2O12", "functional": "PBE", "state": "relaxed", "cell": [[6.3022, 0.0000, 0.0000], [0.0000, 20.1138, 0.0000], [-0.7150, 0.0000, 8.9922]], "species": ["Rb", "Rb", "Rb", "Rb", "Sm", "Sm", "Sm", "Sm", "S", "S", "S", "S", "S", "S", "S", "S", "O", "O", "O", "O", "O", "O", "O", "O", "O", "O", "O", "O", "O", "O", "O", "O", "O", "O", "O", "O", "O", "O", "O", "O", "O", "O", "O", "O", "O", "O", "O", "O", "O", "O", "O", "O", "O", "O", "O", "O", "O", "O", "O", "O", "O", "O", "O", "O"], "fractional_positions": [[0.1537, 0.2118, 0.1336], [0.1537, 0.2882, 0.6336], [0.8463, 0.7118, 0.3664], [0.8463, 0.7882, 0.8664], [0.3744, 0.6376, 0.7113], [0.3744, 0.8624, 0.2113], [0.6256, 0.1376, 0.7887], [0.6256, 0.3624, 0.2887], [0.1920, 0.0731, 0.7724], [0.1920, 0.4269, 0.2724], [0.3781, 0.7188, 0.0902], [0.3781, 0.7812, 0.5902], [0.6219, 0.2188, 0.4098], [0.6219, 0.2812, 0.9098], [0.8080, 0.5731, 0.7276], [0.8080, 0.9269, 0.2276], [0.0104, 0.6099, 0.6923], [0.0104, 0.8901, 0.1923], [0.1430, 0.0055, 0.7274], [0.1430, 0.4945, 0.2274], [0.1768, 0.6212, 0.4746], [0.1768, 0.8788, 0.9746], [0.1830, 0.7398, 0.6179], [0.1830, 0.7602, 0.1179], [0.2347, 0.0782, 0.3263], [0.2347, 0.4218, 0.8263], [0.2857, 0.1146, 0.6549], [0.2857, 0.3854, 0.1549], [0.2929, 0.0241, 0.2719], [0.2929, 0.4759, 0.7719], [0.3260, 0.5262, 0.8641], [0.3260, 0.9738, 0.3641], [0.3509, 0.0778, 0.9058], [0.3509, 0.4222, 0.4058], [0.3576, 0.6969, 0.9324], [0.3576, 0.8031, 0.4324], [0.4058, 0.6638, 0.1944], [0.4058, 0.8362, 0.6944], [0.4395, 0.2318, 0.8879], [0.4395, 0.2682, 0.3879], [0.5605, 0.7318, 0.6121], [0.5605, 0.7682, 0.1121], [0.5942, 0.1638, 0.3056], [0.5942, 0.3362, 0.8056], [0.6424, 0.1969, 0.5676], [0.6424, 0.3031, 0.0676], [0.6491, 0.5778, 0.5942], [0.6491, 0.9222, 0.0942], [0.6740, 0.0262, 0.6359], [0.6740, 0.4738, 0.1359], [0.7071, 0.5241, 0.2281], [0.7071, 0.9759, 0.7281], [0.7143, 0.6146, 0.8451], [0.7143, 0.8854, 0.3451], [0.7653, 0.5782, 0.1737], [0.7653, 0.9218, 0.6737], [0.8170, 0.2398, 0.8821], [0.8170, 0.2602, 0.3821], [0.8232, 0.1212, 0.0254], [0.8232, 0.3788, 0.5254], [0.8570, 0.5055, 0.7726], [0.8570, 0.9945, 0.2726], [0.9896, 0.1099, 0.8077], [0.9896, 0.3901, 0.3077]], "energy_ev_per_atom": -5.8626}

3.
{"formula": "Rb4Te2S8O15", "functional": "PBE", "state": "relaxed", "cell": [[21.6228, 0.0000, 0.0000], [0.0000, 9.5740, 0.0000], [0.0000, 0.0000, 12.6755]], "species": ["Rb", "Rb", "Rb", "Rb", "Rb", "Rb", "Rb", "Rb", "Rb", "Rb", "Rb", "Rb", "Rb", "Rb", "Rb", "Rb", "Te", "Te", "Te", "Te", "Te", "Te", "Te", "Te", "S", "S", "S", "S", "S", "S", "S", "S", "S", "S", "S", "S", "S", "S", "S", "S", "S", "S", "S", "S", "S", "S", "S", "S", "S", "S", "S", "S", "S", "S", "S", "S", "O", "O", "O", "O", "O", "O", "O", "O", "O", "O", "O", "O", "O", "O", "O", "O", "O", "O", "O", "O", "O", "O", "O", "O", "O", "O", "O", "O", "O", "O", "O", "O", "O", "O", "O", "O", "O", "O", "O", "O", "O", "O", "O", "O", "O", "O", "O", "O", "O", "O", "O", "O", "O", "O", "O", "O", "O", "O", "O", "O"], "fractional_positions": [[0.1061, 0.0806, 0.1896], [0.1061, 0.9194, 0.6896], [0.2381, 0.2516, 0.4691], [0.2381, 0.7484, 0.9691], [0.2619, 0.2484, 0.9691], [0.2619, 0.7516, 0.4691], [0.3939, 0.4194, 0.6896], [0.3939, 0.5806, 0.1896], [0.6061, 0.4194, 0.8104], [0.6061, 0.5806, 0.3104], [0.7381, 0.2484, 0.5309], [0.7381, 0.7516, 0.0309], [0.7619, 0.2516, 0.0309], [0.7619, 0.7484, 0.5309], [0.8939, 0.0806, 0.3104], [0.8939, 0.9194, 0.8104], [0.0711, 0.4944, 0.6500], [0.0711, 0.5056, 0.1500], [0.4289, 0.0056, 0.1500], [0.4289, 0.9944, 0.6500], [0.5711, 0.0056, 0.3500], [0.5711, 0.9944, 0.8500], [0.9289, 0.4944, 0.8500], [0.9289, 0.5056, 0.3500], [0.0523, 0.2157, 0.4619], [0.0523, 0.7843, 0.9619], [0.0855, 0.4358, 0.4699], [0.0855, 0.5642, 0.9699], [0.1570, 0.3796, 0.7308], [0.1570, 0.6204, 0.2308], [0.2303, 0.4644, 0.2208], [0.2303, 0.5356, 0.7208], [0.2697, 0.0356, 0.7208], [0.2697, 0.9644, 0.2208], [0.3430, 0.1204, 0.2308], [0.3430, 0.8796, 0.7308], [0.4145, 0.0642, 0.9699], [0.4145, 0.9358, 0.4699], [0.4477, 0.2843, 0.9619], [0.4477, 0.7157, 0.4619], [0.5523, 0.2843, 0.5381], [0.5523, 0.7157, 0.0381], [0.5855, 0.0642, 0.5301], [0.5855, 0.9358, 0.0301], [0.6570, 0.1204, 0.2692], [0.6570, 0.8796, 0.7692], [0.7303, 0.0356, 0.7792], [0.7303, 0.9644, 0.2792], [0.7697, 0.4644, 0.2792], [0.7697, 0.5356, 0.7792], [0.8430, 0.3796, 0.7692], [0.8430, 0.6204, 0.2692], [0.9145, 0.4358, 0.0301], [0.9145, 0.5642, 0.5301], [0.9477, 0.2157, 0.0381], [0.9477, 0.7843, 0.5381], [0.0000, 0.1135, 0.7500], [0.0000, 0.8865, 0.2500], [0.0050, 0.2007, 0.5430], [0.0050, 0.7993, 0.0430], [0.0288, 0.2154, 0.3530], [0.0288, 0.7846, 0.8530], [0.1085, 0.1334, 0.4776], [0.1085, 0.8666, 0.9776], [0.1300, 0.1721, 0.9560], [0.1300, 0.8279, 0.4560], [0.2012, 0.3268, 0.2292], [0.2012, 0.6732, 0.7292], [0.2316, 0.0027, 0.3121], [0.2316, 0.9973, 0.8121], [0.2391, 0.0114, 0.6187], [0.2391, 0.9886, 0.1187], [0.2609, 0.4886, 0.1187], [0.2609, 0.5114, 0.6187], [0.2684, 0.4973, 0.8121], [0.2684, 0.5027, 0.3121], [0.2988, 0.1732, 0.7292], [0.2988, 0.8268, 0.2292], [0.3700, 0.3279, 0.4560], [0.3700, 0.6721, 0.9560], [0.3915, 0.3666, 0.9776], [0.3915, 0.6334, 0.4776], [0.4712, 0.2846, 0.8530], [0.4712, 0.7154, 0.3530], [0.4950, 0.2993, 0.0430], [0.4950, 0.7007, 0.5430], [0.5000, 0.3865, 0.2500], [0.5000, 0.6135, 0.7500], [0.5050, 0.2993, 0.4570], [0.5050, 0.7007, 0.9570], [0.5288, 0.2846, 0.6470], [0.5288, 0.7154, 0.1470], [0.6085, 0.3666, 0.5224], [0.6085, 0.6334, 0.0224], [0.6300, 0.3279, 0.0440], [0.6300, 0.6721, 0.5440], [0.7012, 0.1732, 0.7708], [0.7012, 0.8268, 0.2708], [0.7316, 0.4973, 0.6879], [0.7316, 0.5027, 0.1879], [0.7391, 0.4886, 0.3813], [0.7391, 0.5114, 0.8813], [0.7609, 0.0114, 0.8813], [0.7609, 0.9886, 0.3813], [0.7684, 0.0027, 0.1879], [0.7684, 0.9973, 0.6879], [0.7988, 0.3268, 0.2708], [0.7988, 0.6732, 0.7708], [0.8700, 0.1721, 0.5440], [0.8700, 0.8279, 0.0440], [0.8915, 0.1334, 0.0224], [0.8915, 0.8666, 0.5224], [0.9712, 0.2154, 0.1470], [0.9712, 0.7846, 0.6470], [0.9950, 0.2007, 0.9570], [0.9950, 0.7993, 0.4570]], "energy_corrected_mp2020_ry_per_atom": -0.384, "energy_ev_per_atom": -4.8719}

Looking at formation energy for the records above, in order, we have -1.98 -1.28 -1.17 eV per atom.